Run a
## La4MgCoO8 (GGA+U)

Data for an optimized crystal structure of La4MgCoO8.

Computed properties:
SG: No. 8
Total magnetic moment, μB/f.u.: 3.00

a b c (Å): 9.0849 9.0849 4.6766
angles (deg): 101.44 101.44 34.48
Positions (direct):
La  0.0000  0.0000  0.0000
La  0.2475  0.2475  0.8126
La  0.5866  0.5866  0.6216
La  0.8342  0.8342  0.4354
Mg  0.4167  0.4167  0.2186
Co  0.4173  0.4173  0.7192
O  0.1072  0.6312  0.9255
O  0.1149  0.1149  0.7915
O  0.2030  0.7267  0.5109
O  0.3020  0.3020  0.3628
O  0.5322  0.5322  0.0730
O  0.6312  0.1072  0.9255
O  0.7193  0.7193  0.6424
O  0.7267  0.2030  0.5109



Run b
## La4MgCoO8 (GGA+U)

Data for an optimized crystal structure of La4MgCoO8.

Computed properties:
SG: No. 10
Total magnetic moment, μB/f.u.: 3.00

a b c (Å): 5.5384 5.5366 6.9031
angles (deg): 90.00 113.62 90.00
Positions (direct):
La  0.1384  0.0000  0.2748
La  0.3620  0.5000  0.7245
La  0.6380  0.5000  0.2755
La  0.8616  0.0000  0.7252
Mg  0.0000  0.5000  0.0000
Co  0.5000  0.0000  0.0000
O  0.1790  0.5000  0.3577
O  0.2492  0.2518  0.9999
O  0.2492  0.7482  0.9999
O  0.3185  0.0000  0.6360
O  0.6815  0.0000  0.3640
O  0.7508  0.2518  0.0001
O  0.7508  0.7482  0.0001
O  0.8210  0.5000  0.6423



It comes down to run b, which is 177 meV per atom more stable than the next structure.